No. 1
Entry from the Materials Project: a geometry-optimized Tb2B6Rh9 structure (GGA-PBE).

a b c (Å): 5.617 5.617 8.586
angles (deg): 90.00 90.00 120.00
Atoms (fractional coordinates):
Tb 0.000 0.000 0.206
Tb 0.000 0.000 0.794
B 0.333 0.667 0.167
B 0.333 0.667 0.500
B 0.333 0.667 0.833
B 0.667 0.333 0.167
B 0.667 0.333 0.500
B 0.667 0.333 0.833
Rh 0.000 0.500 0.000
Rh 0.000 0.500 0.336
Rh 0.000 0.500 0.664
Rh 0.500 0.000 0.000
Rh 0.500 0.000 0.336
Rh 0.500 0.000 0.664
Rh 0.500 0.500 0.000
Rh 0.500 0.500 0.336
Rh 0.500 0.500 0.664

Properties
* DFT formation energy: -10.8 eV/f.u.
* space-group type: P6/mmm



No. 2
Entry from the Materials Project: a geometry-optimized YH2 structure (GGA-PBE).

a b c (Å): 5.213 5.213 5.213
angles (deg): 90.00 90.00 90.00
Atoms (fractional coordinates):
Y 0.000 0.000 0.000
Y 0.000 0.500 0.500
Y 0.500 0.000 0.500
Y 0.500 0.500 0.000
H 0.250 0.250 0.250
H 0.250 0.250 0.750
H 0.250 0.750 0.250
H 0.250 0.750 0.750
H 0.750 0.250 0.250
H 0.750 0.250 0.750
H 0.750 0.750 0.250
H 0.750 0.750 0.750

Properties
* DFT formation energy: -2.4 eV/f.u.
* space-group type: Fm-3m



No. 3
Entry from the Materials Project: a geometry-optimized Br2Cl3 structure (GGA-PBE).

a b c (Å): 8.697 8.697 10.279
angles (deg): 90.00 90.00 120.00
Atoms (fractional coordinates):
Br 0.000 0.000 0.186
Br 0.000 0.000 0.814
Br 0.333 0.667 0.481
Br 0.333 0.667 0.853
Br 0.667 0.333 0.147
Br 0.667 0.333 0.519
Cl 0.000 0.500 0.500
Cl 0.167 0.333 0.833
Cl 0.167 0.833 0.833
Cl 0.333 0.167 0.167
Cl 0.500 0.000 0.500
Cl 0.500 0.500 0.500
Cl 0.667 0.833 0.833
Cl 0.833 0.167 0.167
Cl 0.833 0.667 0.167

Properties
* DFT formation energy: -1.3 eV/f.u.
* space-group type: R-3m



No. 4
Entry from the Materials Project: a geometry-optimized Al2Fe3Si3 structure (GGA-PBE).

a b c (Å): 4.604 6.328 7.461
angles (deg): 101.90 106.78 100.61
Atoms (fractional coordinates):
Al 0.053 0.145 0.273
Al 0.414 0.175 0.051
Al 0.586 0.825 0.949
Al 0.947 0.855 0.727
Fe 0.040 0.792 0.416
Fe 0.135 0.818 0.057
Fe 0.365 0.528 0.233
Fe 0.635 0.472 0.767
Fe 0.865 0.182 0.943
Fe 0.960 0.208 0.584
Si 0.179 0.476 0.886
Si 0.276 0.543 0.533
Si 0.457 0.087 0.652
Si 0.543 0.913 0.348
Si 0.724 0.457 0.467
Si 0.821 0.524 0.114

Properties
* DFT formation energy: -3.6 eV/f.u.
* space-group type: P-1



No. 5
Entry from the Materials Project: a geometry-optimized RbCaSb structure (GGA-PBE).

a b c (Å): 5.412 5.412 8.566
angles (deg): 90.00 90.00 90.00
Atoms (fractional coordinates):
Rb 0.250 0.250 0.135
Rb 0.750 0.750 0.865
Ca 0.250 0.750 0.500
Ca 0.750 0.250 0.500
Sb 0.250 0.250 0.696
Sb 0.750 0.750 0.304

Properties
* DFT formation energy: -2.6 eV/f.u.
* space-group type: P4/nmm



No. 6
Entry from the Materials Project: a geometry-optimized ErMn6Al6 structure (GGA-PBE).

a b c (Å): 6.610 6.610 6.610
angles (deg): 136.30 99.21 96.71
Atoms (fractional coordinates):
Er 0.000 0.000 0.000
Mn 0.000 0.000 0.500
Mn 0.000 0.500 0.000
Mn 0.235 0.500 0.735
Mn 0.500 0.000 0.000
Mn 0.500 0.500 0.500
Mn 0.765 0.500 0.265
Al 0.195 0.695 0.500
Al 0.338 0.000 0.338
Al 0.347 0.347 0.000
Al 0.653 0.653 0.000
Al 0.662 0.000 0.662
Al 0.805 0.305 0.500

Properties
* DFT formation energy: -3.2 eV/f.u.
* space-group type: Immm



> What is the formula in the second record?

YH2